# TiGaNi6 (PBE, optimized geometry)
data_TiGaNi6
_chemical_formula_sum 'Ti1 Ga1 Ni6'
_cell_length_a 3.5883
_cell_length_b 3.5883
_cell_length_c 7.1284
_cell_angle_alpha 90.00
_cell_angle_beta 90.00
_cell_angle_gamma 90.00
_symmetry_space_group_name_H-M 'P 4/m m m'
_symmetry_Int_Tables_number 123
_symmetry_space_group_name_Hall '-P 4 2'
loop_
_atom_site_label
_atom_site_fract_x
_atom_site_fract_y
_atom_site_fract_z
Ti1 0.0000 0.0000 0.0000
Ga1 0.0000 0.0000 0.5000
Ni1 0.0000 0.5000 0.2507
Ni2 0.5000 0.5000 0.0000
Ni3 0.5000 0.5000 0.5000
# **Formation enthalpy at 0 K**: -403 meV/atom